1.
A relaxed structure of Cu2H3ClO3. Source: the Materials Project, functional PBE.

- Polymorph energy (0 for the lowest one): 5.7 meV/atom

Lattice parameters (Å, degrees): 6.128 6.128 6.161 68.85 68.85 68.65
Fractional positions:
Cu 0.000 0.000 0.500
Cu 0.000 0.000 0.000
Cu 0.500 0.000 0.500
Cu 0.000 0.500 0.500
H 0.276 0.674 0.774
H 0.674 0.276 0.774
H 0.724 0.326 0.226
H 0.326 0.724 0.226
H 0.736 0.736 0.825
H 0.264 0.264 0.175
Cl 0.314 0.314 0.813
Cl 0.686 0.686 0.187
O 0.236 0.854 0.734
O 0.854 0.236 0.734
O 0.764 0.146 0.266
O 0.146 0.764 0.266
O 0.779 0.779 0.646
O 0.221 0.221 0.354

***

2.
A relaxed structure of Er2CdHg. Source: the Materials Project, functional PBE.

Lattice parameters (Å, degrees): 5.248 5.248 5.248 60.00 60.00 60.00
Fractional positions:
Er 0.750 0.750 0.750
Er 0.250 0.250 0.250
Cd 0.500 0.500 0.500
Hg 0.000 0.000 0.000

***

3.
A relaxed structure of CaAl8Co2. Source: the Materials Project, functional PBE.

Lattice parameters (Å, degrees): 3.956 12.472 14.506 90.00 90.00 90.00
Fractional positions:
Ca 0.500 0.159 0.681
Ca 0.500 0.841 0.319
Ca 0.500 0.659 0.819
Ca 0.500 0.341 0.181
Al 0.000 0.736 0.174
Al 0.500 0.403 0.745
Al 0.500 0.161 0.955
Al 0.000 0.526 0.133
Al 0.500 0.500 0.000
Al 0.500 0.097 0.245
Al 0.000 0.452 0.321
Al 0.500 0.339 0.455
Al 0.500 0.903 0.755
Al 0.000 0.026 0.367
Al 0.000 0.168 0.507
Al 0.000 0.161 0.119
Al 0.000 0.236 0.326
Al 0.000 0.832 0.493
Al 0.500 0.839 0.045
Al 0.000 0.974 0.633
Al 0.000 0.764 0.674
Al 0.000 0.474 0.867
Al 0.000 0.661 0.381
Al 0.000 0.500 0.500
Al 0.000 0.839 0.881
Al 0.000 0.264 0.826
Al 0.000 0.952 0.179
Al 0.000 0.339 0.619
Al 0.500 0.597 0.255
Al 0.000 0.668 0.993
Al 0.000 0.332 0.007
Al 0.500 0.661 0.545
Al 0.000 0.000 0.000
Al 0.000 0.548 0.679
Al 0.000 0.048 0.821
Al 0.500 0.000 0.500
Co 0.500 0.850 0.598
Co 0.500 0.035 0.093
Co 0.500 0.150 0.402
Co 0.500 0.965 0.907
Co 0.500 0.535 0.407
Co 0.500 0.465 0.593
Co 0.500 0.650 0.098
Co 0.500 0.350 0.902

***

4.
A relaxed structure of CsK. Source: the Materials Project, functional PBE.

Lattice parameters (Å, degrees): 5.038 5.038 7.712 90.00 90.00 108.56
Fractional positions:
Cs 0.000 0.000 0.000
K 0.500 0.500 0.500

***

5.
A relaxed structure of MgZn2Sb4O12. Source: the Materials Project, functional PBE.

- Polymorph energy (0 for the lowest one): 15.3 meV/atom

Lattice parameters (Å, degrees): 4.872 4.800 10.394 90.00 90.00 87.04
Fractional positions:
Mg 0.500 0.000 0.426
Zn 0.000 0.000 0.982
Zn 0.500 0.500 0.567
Sb 0.500 0.500 0.846
Sb 0.000 0.000 0.280
Sb 0.500 0.500 0.148
Sb 0.000 0.000 0.682
O 0.712 0.698 0.701
O 0.288 0.302 0.701
O 0.658 0.723 0.292
O 0.175 0.779 0.138
O 0.825 0.221 0.138
O 0.801 0.196 0.831
O 0.326 0.307 0.995
O 0.228 0.820 0.537
O 0.772 0.180 0.537
O 0.674 0.693 0.995
O 0.342 0.277 0.292
O 0.199 0.804 0.831

***

6.
A relaxed structure of K8Zr6MnBr20. Source: the Materials Project, functional PBE.

Lattice parameters (Å, degrees): 11.875 11.875 11.875 60.00 60.00 60.00
Fractional positions:
K 0.360 0.360 0.360
K 0.640 0.640 0.640
K 0.360 0.360 0.919
K 0.360 0.919 0.360
K 0.640 0.640 0.081
K 0.640 0.081 0.640
K 0.919 0.360 0.360
K 0.081 0.640 0.640
Zr 0.855 0.145 0.145
Zr 0.145 0.855 0.855
Zr 0.145 0.855 0.145
Zr 0.855 0.145 0.855
Zr 0.145 0.145 0.855
Zr 0.855 0.855 0.145
Mn 0.000 0.000 0.000
Br 0.329 0.000 0.000
Br 0.671 0.000 0.000
Br 0.000 0.329 0.671
Br 0.000 0.671 0.329
Br 0.000 0.329 0.000
Br 0.671 0.000 0.329
Br 0.000 0.671 0.000
Br 0.329 0.000 0.671
Br 0.000 0.000 0.329
Br 0.000 0.000 0.671
Br 0.671 0.329 0.000
Br 0.329 0.671 0.000
Br 0.683 0.317 0.317
Br 0.317 0.683 0.683
Br 0.317 0.683 0.317
Br 0.683 0.317 0.683
Br 0.317 0.317 0.683
Br 0.683 0.683 0.317
Br 0.250 0.250 0.250
Br 0.750 0.750 0.750

***

7.
A relaxed structure of SrHfN2. Source: the Materials Project, functional PBE.

Lattice parameters (Å, degrees): 3.357 3.357 6.231 74.37 74.37 60.00
Fractional positions:
Sr 0.000 0.000 0.000
Hf 0.500 0.500 0.500
N 0.767 0.767 0.698
N 0.233 0.233 0.302

***

8.
A relaxed structure of Na2CdO2. Source: the Materials Project, functional PBE.

Lattice parameters (Å, degrees): 9.398 9.398 10.859 54.75 54.75 70.14
Fractional positions:
Na 0.038 0.242 0.472
Na 0.454 0.268 0.258
Na 0.027 0.778 0.701
Na 0.729 0.458 0.519
Na 0.222 0.973 0.299
Na 0.542 0.271 0.481
Na 0.758 0.962 0.528
Na 0.732 0.546 0.742
Na 0.513 0.220 0.981
Na 0.225 0.511 0.474
Na 0.285 0.991 0.705
Na 0.984 0.270 0.223
Na 0.009 0.715 0.295
Na 0.730 0.016 0.777
Na 0.489 0.775 0.526
Na 0.780 0.487 0.019
Cd 0.233 0.046 0.985
Cd 0.268 0.465 0.749
Cd 0.768 0.039 0.214
Cd 0.479 0.724 0.001
Cd 0.276 0.521 0.999
Cd 0.961 0.232 0.786
Cd 0.535 0.732 0.251
Cd 0.954 0.767 0.015
O 0.963 0.459 0.545
O 0.001 0.998 0.762
O 0.729 0.271 0.000
O 0.783 0.217 0.500
O 0.254 0.258 0.209
O 0.241 0.247 0.734
O 0.541 0.037 0.455
O 0.002 0.999 0.238
O 0.458 0.955 0.040
O 0.500 0.514 0.242
O 0.486 0.500 0.758
O 0.753 0.759 0.266
O 0.742 0.746 0.791
O 0.288 0.712 0.500
O 0.222 0.778 0.000
O 0.045 0.542 0.960

***

Q: Which energy relative to the elements values were calculated for the entries above? A: -96.2; -37.6; -40.5; 4.0; -179.0; -174.5; -150.4; -140.4, in kJ per mole of atoms.